# 1
## Ba2EuRuO6 (GGA-PBE)

Data for an optimized crystal structure of Ba2EuRuO6.

energy relative to the elements	-2.627	eV per atom
magnetic moment	0.399	μB per atom
volume	15.4	A^3/atom
E_tot	-7.52	eV/atom

Unit cell a=6.0169 b=6.0169 c=6.0169 alpha=60.00 beta=60.00 gamma=60.00
Sites, in units of the cell vectors:
Ba (0.2500, 0.2500, 0.2500)
Ba (0.7500, 0.7500, 0.7500)
Eu (0.0000, 0.0000, 0.0000)
Ru (0.5000, 0.5000, 0.5000)
O (0.2692, 0.2692, 0.7308)
O (0.2692, 0.7308, 0.2692)
O (0.2692, 0.7308, 0.7308)
O (0.7308, 0.2692, 0.2692)
O (0.7308, 0.2692, 0.7308)
O (0.7308, 0.7308, 0.2692)


# 2
## Tb5Si4 (GGA-PBE)

Data for an optimized crystal structure of Tb5Si4.

energy relative to the elements	-0.706	eV per atom
volume	23.5	A^3/atom
E_tot	-5.72	eV/atom

Unit cell a=7.4625 b=14.6879 c=7.7189 alpha=90.00 beta=90.00 gamma=90.00
Sites, in units of the cell vectors:
Tb (0.0275, 0.0981, 0.1835)
Tb (0.0275, 0.4019, 0.1835)
Tb (0.1516, 0.7500, 0.5137)
Tb (0.1786, 0.1227, 0.6811)
Tb (0.1786, 0.3773, 0.6811)
Tb (0.3214, 0.6227, 0.1811)
Tb (0.3214, 0.8773, 0.1811)
Tb (0.3484, 0.2500, 0.0137)
Tb (0.4725, 0.5981, 0.6835)
Tb (0.4725, 0.9019, 0.6835)
Tb (0.5275, 0.0981, 0.3165)
Tb (0.5275, 0.4019, 0.3165)
Tb (0.6516, 0.7500, 0.9863)
Tb (0.6786, 0.1227, 0.8189)
Tb (0.6786, 0.3773, 0.8189)
Tb (0.8214, 0.6227, 0.3189)
Tb (0.8214, 0.8773, 0.3189)
Tb (0.8484, 0.2500, 0.4863)
Tb (0.9725, 0.5981, 0.8165)
Tb (0.9725, 0.9019, 0.8165)
Si (0.0263, 0.7500, 0.1028)
Si (0.1468, 0.5401, 0.4724)
Si (0.1468, 0.9599, 0.4724)
Si (0.2320, 0.2500, 0.3753)
Si (0.2680, 0.7500, 0.8753)
Si (0.3532, 0.0401, 0.9724)
Si (0.3532, 0.4599, 0.9724)
Si (0.4737, 0.2500, 0.6028)
Si (0.5263, 0.7500, 0.3972)
Si (0.6468, 0.5401, 0.0276)
Si (0.6468, 0.9599, 0.0276)
Si (0.7320, 0.2500, 0.1247)
Si (0.7680, 0.7500, 0.6247)
Si (0.8532, 0.0401, 0.5276)
Si (0.8532, 0.4599, 0.5276)
Si (0.9737, 0.2500, 0.8972)


# 3
## Zr2N2O (GGA-PBE)

Data for an optimized crystal structure of Zr2N2O.

energy relative to the elements	-2.095	eV per atom
magnetic moment	0.000	μB per atom
volume	13.2	A^3/atom
E_tot	-9.70	eV/atom

Unit cell a=9.6181 b=9.6181 c=5.8846 alpha=105.82 beta=105.82 gamma=119.90
Sites, in units of the cell vectors:
Zr (0.0229, 0.1864, 0.0608)
Zr (0.1415, 0.6409, 0.4260)
Zr (0.1864, 0.0229, 0.5608)
Zr (0.3075, 0.4706, 0.9132)
Zr (0.3591, 0.8585, 0.0740)
Zr (0.4706, 0.3075, 0.4132)
Zr (0.5294, 0.6925, 0.5868)
Zr (0.6409, 0.1415, 0.9260)
Zr (0.6925, 0.5294, 0.0868)
Zr (0.8136, 0.9771, 0.4392)
Zr (0.8585, 0.3591, 0.5740)
Zr (0.9771, 0.8136, 0.9392)
N (0.1140, 0.1815, 0.7445)
N (0.1490, 0.5494, 0.7484)
N (0.1815, 0.1140, 0.2445)
N (0.1833, 0.8167, 0.2500)
N (0.4506, 0.8510, 0.7516)
N (0.4862, 0.5138, 0.7500)
N (0.5138, 0.4862, 0.2500)
N (0.5494, 0.1490, 0.2484)
N (0.8167, 0.1833, 0.7500)
N (0.8185, 0.8860, 0.7555)
N (0.8510, 0.4506, 0.2516)
N (0.8860, 0.8185, 0.2555)
O (0.1485, 0.8515, 0.7500)
O (0.2163, 0.4845, 0.2470)
O (0.4845, 0.2163, 0.7470)
O (0.5155, 0.7837, 0.2530)
O (0.7837, 0.5155, 0.7530)
O (0.8515, 0.1485, 0.2500)


# 4
## CoP2W (GGA-PBE)

Data for an optimized crystal structure of CoP2W.

energy relative to the elements	-0.353	eV per atom
magnetic moment	0.000	μB per atom
volume	13.3	A^3/atom
E_tot	-8.08	eV/atom

Unit cell a=3.2833 b=3.2833 c=11.3848 alpha=90.00 beta=90.00 gamma=120.00
Sites, in units of the cell vectors:
Co (0.0000, 0.0000, 0.2500)
Co (0.0000, 0.0000, 0.7500)
P (0.3333, 0.6667, 0.1408)
P (0.3333, 0.6667, 0.3592)
P (0.6667, 0.3333, 0.6408)
P (0.6667, 0.3333, 0.8592)
W (0.0000, 0.0000, 0.0000)
W (0.0000, 0.0000, 0.5000)


# 5
## Li3LaGa8 (GGA-PBE)

Data for an optimized crystal structure of Li3LaGa8.

energy relative to the elements	-0.275	eV per atom
magnetic moment	0.000	μB per atom
volume	20.3	A^3/atom
E_tot	-3.18	eV/atom

Unit cell a=3.6266 b=4.4475 c=15.1358 alpha=90.00 beta=90.00 gamma=90.00
Sites, in units of the cell vectors:
Li (0.0000, 0.0000, 0.0000)
Li (0.0000, 0.5000, 0.2568)
Li (0.0000, 0.5000, 0.7432)
La (0.0000, 0.0000, 0.5000)
Ga (0.5000, 0.0000, 0.1607)
Ga (0.5000, 0.0000, 0.3235)
Ga (0.5000, 0.0000, 0.6765)
Ga (0.5000, 0.0000, 0.8393)
Ga (0.5000, 0.5000, 0.0814)
Ga (0.5000, 0.5000, 0.4107)
Ga (0.5000, 0.5000, 0.5893)
Ga (0.5000, 0.5000, 0.9186)


# 6
## Cs2NaCoC6N6 (GGA-PBE)

Data for an optimized crystal structure of Cs2NaCoC6N6.

energy relative to the elements	-0.299	eV per atom
magnetic moment	0.000	μB per atom
volume	19.8	A^3/atom
E_tot	-7.39	eV/atom

Unit cell a=7.5833 b=7.6826 c=13.2366 alpha=90.00 beta=124.94 gamma=90.00
Sites, in units of the cell vectors:
Cs (0.2424, 0.0355, 0.2500)
Cs (0.2424, 0.4645, 0.7500)
Cs (0.7576, 0.5355, 0.2500)
Cs (0.7576, 0.9645, 0.7500)
Na (0.0000, 0.0000, 0.5000)
Na (0.0000, 0.5000, 0.0000)
Co (0.5000, 0.0000, 0.0000)
Co (0.5000, 0.5000, 0.5000)
C (0.2826, 0.1414, 0.9831)
C (0.2826, 0.3586, 0.4831)
C (0.3378, 0.6988, 0.4793)
C (0.3378, 0.8012, 0.9793)
C (0.3674, 0.0058, 0.8290)
C (0.3674, 0.4942, 0.3290)
C (0.6326, 0.5058, 0.6710)
C (0.6326, 0.9942, 0.1710)
C (0.6622, 0.1988, 0.0207)
C (0.6622, 0.3012, 0.5207)
C (0.7174, 0.6414, 0.5169)
C (0.7174, 0.8586, 0.0169)
N (0.1447, 0.2290, 0.9719)
N (0.1447, 0.2710, 0.4719)
N (0.2358, 0.6760, 0.9652)
N (0.2358, 0.8240, 0.4652)
N (0.2862, 0.0120, 0.7221)
N (0.2862, 0.4880, 0.2221)
N (0.7138, 0.5120, 0.7779)
N (0.7138, 0.9880, 0.2779)
N (0.7642, 0.1760, 0.5348)
N (0.7642, 0.3240, 0.0348)
N (0.8553, 0.7290, 0.5281)
N (0.8553, 0.7710, 0.0281)


# 7
## Dy5C2I9 (GGA-PBE)

Data for an optimized crystal structure of Dy5C2I9.

energy relative to the elements	-1.433	eV per atom
magnetic moment	0.000	μB per atom
volume	36.2	A^3/atom
E_tot	-4.67	eV/atom

Unit cell a=10.9248 b=17.4565 c=14.2813 alpha=90.00 beta=121.66 gamma=90.00
Sites, in units of the cell vectors:
Dy (0.0129, 0.0534, 0.2525)
Dy (0.0129, 0.4466, 0.7525)
Dy (0.0169, 0.6549, 0.7162)
Dy (0.0169, 0.8451, 0.2162)
Dy (0.1503, 0.0394, 0.0337)
Dy (0.1503, 0.4606, 0.5337)
Dy (0.1982, 0.6790, 0.5539)
Dy (0.1982, 0.8210, 0.0539)
Dy (0.3375, 0.5577, 0.8005)
Dy (0.3375, 0.9423, 0.3005)
Dy (0.6625, 0.0577, 0.6995)
Dy (0.6625, 0.4423, 0.1995)
Dy (0.8018, 0.1790, 0.9461)
Dy (0.8018, 0.3210, 0.4461)
Dy (0.8497, 0.5394, 0.4663)
Dy (0.8497, 0.9606, 0.9663)
Dy (0.9831, 0.1549, 0.7838)
Dy (0.9831, 0.3451, 0.2838)
Dy (0.9871, 0.5534, 0.2475)
Dy (0.9871, 0.9466, 0.7475)
C (0.0696, 0.5304, 0.6626)
C (0.0696, 0.9696, 0.1626)
C (0.1227, 0.5843, 0.6166)
C (0.1227, 0.9157, 0.1166)
C (0.8773, 0.0843, 0.8834)
C (0.8773, 0.4157, 0.3834)
C (0.9304, 0.0304, 0.8374)
C (0.9304, 0.4696, 0.3374)
I (0.0890, 0.0652, 0.6548)
I (0.0890, 0.4348, 0.1548)
I (0.0940, 0.6929, 0.1421)
I (0.0940, 0.8071, 0.6421)
I (0.0950, 0.1969, 0.1673)
I (0.0950, 0.3031, 0.6673)
I (0.2809, 0.1734, 0.9665)
I (0.2809, 0.3266, 0.4665)
I (0.2985, 0.5662, 0.4438)
I (0.2995, 0.6830, 0.9395)
I (0.2995, 0.8170, 0.4395)
I (0.2985, 0.9338, 0.9438)
I (0.3158, 0.0585, 0.4569)
I (0.3158, 0.4415, 0.9569)
I (0.4637, 0.0626, 0.2343)
I (0.4637, 0.4374, 0.7343)
I (0.4955, 0.6808, 0.7497)
I (0.4955, 0.8192, 0.2497)
I (0.5045, 0.1808, 0.7503)
I (0.5045, 0.3192, 0.2503)
I (0.5363, 0.5626, 0.2657)
I (0.5363, 0.9374, 0.7657)
I (0.6842, 0.5585, 0.0431)
I (0.6842, 0.9415, 0.5431)
I (0.7015, 0.0662, 0.0562)
I (0.7005, 0.1830, 0.5605)
I (0.7005, 0.3170, 0.0605)
I (0.7015, 0.4338, 0.5562)
I (0.7191, 0.6734, 0.5335)
I (0.7191, 0.8266, 0.0335)
I (0.9050, 0.6969, 0.3327)
I (0.9050, 0.8031, 0.8327)
I (0.9060, 0.1929, 0.3579)
I (0.9060, 0.3071, 0.8579)
I (0.9110, 0.5652, 0.8452)
I (0.9110, 0.9348, 0.3452)


# 8
## La4MgIr (GGA-PBE)

Data for an optimized crystal structure of La4MgIr.

energy relative to the elements	-0.387	eV per atom
volume	31.2	A^3/atom
E_tot	-5.42	eV/atom

Unit cell a=10.1976 b=10.1976 c=10.1976 alpha=60.00 beta=60.00 gamma=60.00
Sites, in units of the cell vectors:
La (0.0612, 0.0612, 0.4388)
La (0.0612, 0.4388, 0.0612)
La (0.0612, 0.4388, 0.4388)
La (0.1894, 0.1894, 0.8106)
La (0.1894, 0.8106, 0.1894)
La (0.1894, 0.8106, 0.8106)
La (0.2136, 0.5955, 0.5955)
La (0.4388, 0.0612, 0.0612)
La (0.4388, 0.0612, 0.4388)
La (0.4388, 0.4388, 0.0612)
La (0.5955, 0.2136, 0.5955)
La (0.5955, 0.5955, 0.2136)
La (0.5955, 0.5955, 0.5955)
La (0.8106, 0.1894, 0.1894)
La (0.8106, 0.1894, 0.8106)
La (0.8106, 0.8106, 0.1894)
Mg (0.5150, 0.8283, 0.8283)
Mg (0.8283, 0.5150, 0.8283)
Mg (0.8283, 0.8283, 0.5150)
Mg (0.8283, 0.8283, 0.8283)
Ir (0.3911, 0.3911, 0.3911)
Ir (0.3911, 0.3911, 0.8267)
Ir (0.3911, 0.8267, 0.3911)
Ir (0.8267, 0.3911, 0.3911)


# 9
## GdYRh2 (GGA-PBE)

Data for an optimized crystal structure of GdYRh2.

energy relative to the elements	-0.817	eV per atom
magnetic moment	1.756	μB per atom
volume	20.7	A^3/atom
E_tot	-9.64	eV/atom

Unit cell a=4.8904 b=4.8904 c=4.8904 alpha=60.00 beta=60.00 gamma=60.00
Sites, in units of the cell vectors:
Gd (0.0000, 0.0000, 0.0000)
Y (0.5000, 0.5000, 0.5000)
Rh (0.2500, 0.2500, 0.2500)
Rh (0.7500, 0.7500, 0.7500)


# 10
## PuZn2 (GGA-PBE)

Data for an optimized crystal structure of PuZn2.

energy relative to the elements	-0.200	eV per atom
volume	19.1	A^3/atom
E_tot	-5.80	eV/atom

Unit cell a=5.4549 b=5.4549 c=5.4549 alpha=60.00 beta=60.00 gamma=60.00
Sites, in units of the cell vectors:
Pu (0.1250, 0.1250, 0.1250)
Pu (0.8750, 0.8750, 0.8750)
Zn (0.0000, 0.5000, 0.5000)
Zn (0.5000, 0.0000, 0.5000)
Zn (0.5000, 0.5000, 0.0000)
Zn (0.5000, 0.5000, 0.5000)


# 11
## CaCeFe8Sb24 (GGA-PBE)

Data for an optimized crystal structure of CaCeFe8Sb24.

energy relative to the elements	-0.318	eV per atom
magnetic moment	0.059	μB per atom
volume	22.8	A^3/atom
E_tot	-5.32	eV/atom

Unit cell a=7.9382 b=7.9382 c=13.0313 alpha=90.05 beta=90.05 gamma=70.67
Sites, in units of the cell vectors:
Ca (0.0000, 0.0000, 0.0000)
Ce (0.5000, 0.5000, 0.5000)
Fe (0.0000, 0.5000, 0.0000)
Fe (0.0000, 0.5000, 0.5000)
Fe (0.2506, 0.7493, 0.2514)
Fe (0.2507, 0.7494, 0.7486)
Fe (0.5000, 0.0000, 0.0000)
Fe (0.5000, 0.0000, 0.5000)
Fe (0.7493, 0.2506, 0.2514)
Fe (0.7494, 0.2507, 0.7486)
Sb (0.0048, 0.3285, 0.1669)
Sb (0.0844, 0.7519, 0.5818)
Sb (0.0859, 0.0859, 0.7523)
Sb (0.1694, 0.4953, 0.3327)
Sb (0.2478, 0.2478, 0.9142)
Sb (0.2481, 0.9156, 0.4182)
Sb (0.2512, 0.2512, 0.5859)
Sb (0.2534, 0.5850, 0.0815)
Sb (0.3285, 0.0048, 0.1669)
Sb (0.4139, 0.4139, 0.7487)
Sb (0.4150, 0.7466, 0.9185)
Sb (0.4953, 0.1694, 0.3327)
Sb (0.5047, 0.8306, 0.6673)
Sb (0.5850, 0.2534, 0.0815)
Sb (0.5861, 0.5861, 0.2513)
Sb (0.6715, 0.9952, 0.8331)
Sb (0.7466, 0.4150, 0.9185)
Sb (0.7488, 0.7488, 0.4141)
Sb (0.7519, 0.0844, 0.5818)
Sb (0.7522, 0.7522, 0.0858)
Sb (0.8306, 0.5047, 0.6673)
Sb (0.9141, 0.9141, 0.2477)
Sb (0.9156, 0.2481, 0.4182)
Sb (0.9952, 0.6715, 0.8331)


What did the eleventh record say?
## CaCeFe8Sb24 (GGA-PBE)

Data for an optimized crystal structure of CaCeFe8Sb24.

energy relative to the elements	-0.318	eV per atom
magnetic moment	0.059	μB per atom
volume	22.8	A^3/atom
E_tot	-5.32	eV/atom

Unit cell a=7.9382 b=7.9382 c=13.0313 alpha=90.05 beta=90.05 gamma=70.67
Sites, in units of the cell vectors:
Ca (0.0000, 0.0000, 0.0000)
Ce (0.5000, 0.5000, 0.5000)
Fe (0.0000, 0.5000, 0.0000)
Fe (0.0000, 0.5000, 0.5000)
Fe (0.2506, 0.7493, 0.2514)
Fe (0.2507, 0.7494, 0.7486)
Fe (0.5000, 0.0000, 0.0000)
Fe (0.5000, 0.0000, 0.5000)
Fe (0.7493, 0.2506, 0.2514)
Fe (0.7494, 0.2507, 0.7486)
Sb (0.0048, 0.3285, 0.1669)
Sb (0.0844, 0.7519, 0.5818)
Sb (0.0859, 0.0859, 0.7523)
Sb (0.1694, 0.4953, 0.3327)
Sb (0.2478, 0.2478, 0.9142)
Sb (0.2481, 0.9156, 0.4182)
Sb (0.2512, 0.2512, 0.5859)
Sb (0.2534, 0.5850, 0.0815)
Sb (0.3285, 0.0048, 0.1669)
Sb (0.4139, 0.4139, 0.7487)
Sb (0.4150, 0.7466, 0.9185)
Sb (0.4953, 0.1694, 0.3327)
Sb (0.5047, 0.8306, 0.6673)
Sb (0.5850, 0.2534, 0.0815)
Sb (0.5861, 0.5861, 0.2513)
Sb (0.6715, 0.9952, 0.8331)
Sb (0.7466, 0.4150, 0.9185)
Sb (0.7488, 0.7488, 0.4141)
Sb (0.7519, 0.0844, 0.5818)
Sb (0.7522, 0.7522, 0.0858)
Sb (0.8306, 0.5047, 0.6673)
Sb (0.9141, 0.9141, 0.2477)
Sb (0.9156, 0.2481, 0.4182)
Sb (0.9952, 0.6715, 0.8331)